1.
Below is a relaxed BiWO4 crystal, with properties calculated at the GGA+U level.

Cell and atoms, written as POSCAR:
```
BiWO4
1.0
-2.7028 2.7028 5.7546
2.7028 -2.7028 5.7546
2.7028 2.7028 -5.7546
Bi W O
2 2 8
Direct
0.2500 0.7500 0.5000
0.5000 0.5000 0.0000
0.7500 0.2500 0.5000
0.0000 0.0000 0.0000
0.2559 0.3338 0.4254
0.9084 0.8306 0.5746
0.6662 0.0916 0.9222
0.1694 0.7441 0.0778
0.5806 0.5059 0.4222
0.0838 0.1584 0.5778
0.4941 0.9162 0.0746
0.8416 0.4194 0.9254
```

## Properties
Calculated total energy (eV/f.u.): -40.62
Energy of formation from the pure elements (meV per atom): -1861
Symmetry: I4_1/a

***

2.
Below is a relaxed SrCaNbWO6 crystal, with properties calculated at the GGA+U level.

Cell and atoms, written as POSCAR:
```
SrCaNbWO6
1.0
0.0000 -4.1031 -4.1031
4.1031 0.0000 -4.1031
4.1031 -4.1031 0.0000
Sr Ca Nb W O
1 1 1 1 6
Direct
0.7500 0.7500 0.7500
0.2500 0.2500 0.2500
0.0000 0.0000 0.0000
0.5000 0.5000 0.5000
0.7565 0.2435 0.2435
0.2435 0.7565 0.7565
0.7565 0.2435 0.7565
0.2435 0.7565 0.2435
0.7565 0.7565 0.2435
0.2435 0.2435 0.7565
```

## Properties
Calculated total energy (eV/f.u.): -76.05
Energy of formation from the pure elements (meV per atom): -2817
Symmetry: F-43m

***

3.
Below is a relaxed Na2LiV5H18O23 crystal, with properties calculated at the GGA+U level.

Cell and atoms, written as POSCAR:
```
Na2LiV5H18O23
1.0
-2.8631 0.0402 -8.2102
-9.2090 -1.8111 5.0150
2.4378 11.7053 1.8509
Na Li V H O
4 2 10 36 46
Direct
0.7776 0.1503 0.4839
0.2224 0.8497 0.5161
0.0052 0.2497 0.3069
0.9948 0.7503 0.6931
0.9956 0.2117 0.0667
0.0044 0.7883 0.9333
0.2126 0.3415 0.7270
0.7874 0.6585 0.2730
0.4005 0.2259 0.9186
0.5995 0.7741 0.0814
0.6871 0.4881 0.0036
0.3129 0.5119 0.9964
0.4963 0.6030 0.8138
0.5037 0.3970 0.1862
0.5721 0.3166 0.7368
0.4279 0.6834 0.2632
0.7055 0.8760 0.4775
0.2945 0.1240 0.5225
0.6596 0.9513 0.5927
0.3404 0.0487 0.4073
0.5012 0.9835 0.2805
0.4988 0.0165 0.7195
0.4998 0.1360 0.2967
0.5002 0.8640 0.7033
0.8805 0.9646 0.2984
0.1195 0.0354 0.7016
0.0496 0.0414 0.3887
0.9504 0.9586 0.6113
0.8925 0.4165 0.5072
0.1075 0.5835 0.4928
0.7849 0.4037 0.3827
0.2151 0.5963 0.6173
0.3308 0.4258 0.3917
0.6692 0.5742 0.6083
0.3258 0.3578 0.4931
0.6742 0.6422 0.5069
0.7273 0.0763 0.0881
0.2727 0.9237 0.9119
0.7192 0.2259 0.0952
0.2808 0.7741 0.9048
0.1709 0.4430 0.2113
0.8291 0.5570 0.7887
0.9907 0.4569 0.1708
0.0093 0.5431 0.8292
0.1177 0.0216 0.1417
0.8823 0.9784 0.8583
0.2512 0.1539 0.1679
0.7488 0.8461 0.8321
0.0318 0.1897 0.8572
0.9682 0.8103 0.1428
0.8621 0.2205 0.8668
0.1379 0.7795 0.1332
0.0401 0.2881 0.6265
0.9599 0.7119 0.3735
0.2098 0.2079 0.8036
0.7902 0.7921 0.1964
0.3622 0.0888 0.9554
0.6378 0.9112 0.0446
0.5980 0.3306 0.0483
0.4020 0.6694 0.9517
0.8493 0.5523 0.1306
0.1507 0.4477 0.8694
0.6845 0.6466 0.9613
0.3155 0.3534 0.0387
0.5374 0.7417 0.7775
0.4626 0.2583 0.2225
0.2971 0.5156 0.7183
0.7029 0.4844 0.2817
0.4565 0.4282 0.8866
0.5435 0.5718 0.1134
0.3592 0.2762 0.6463
0.6408 0.7238 0.3537
0.5166 0.1838 0.8100
0.4834 0.8162 0.1900
0.7538 0.3961 0.8895
0.2462 0.6039 0.1105
0.6059 0.4942 0.7287
0.3941 0.5058 0.2713
0.6677 0.2452 0.6440
0.3323 0.7548 0.3560
0.7437 0.9566 0.5483
0.2563 0.0434 0.4517
0.5105 0.0704 0.3407
0.4895 0.9296 0.6593
0.9386 0.0520 0.3572
0.0614 0.9480 0.6428
0.8470 0.3538 0.4273
0.1530 0.6462 0.5727
0.2587 0.3821 0.4303
0.7413 0.6179 0.5697
0.7940 0.1696 0.1161
0.2060 0.8304 0.8839
0.0567 0.3934 0.1881
0.9433 0.6066 0.8119
0.1338 0.1186 0.1517
0.8662 0.8814 0.8483
0.9387 0.1683 0.8906
0.0613 0.8317 0.1094
```

## Properties
Calculated total energy (eV/f.u.): -286.52
Energy of formation from the pure elements (meV per atom): -1755
Symmetry: P-1